Computed, not measured: a relaxed Li2Fe2Si4O11 crystal at the PBE+U level of DFT.

electronic total energy	-272.69	eV/cell
ΔH_f (0 K)	-2.71	eV/atom
magnetization	16.00	Bohr magnetons per cell

```
Li2Fe2Si4O11
1.0
7.077 0.000 0.000
-2.736 7.151 0.000
-1.973 -2.080 9.184
Li Fe Si O
4 4 8 22
Direct
0.089 0.412 0.064
0.374 0.617 0.946
0.626 0.383 0.054
0.911 0.588 0.936
0.112 0.656 0.710
0.331 0.226 0.255
0.669 0.774 0.745
0.888 0.344 0.290
0.047 0.776 0.260
0.220 0.026 0.900
0.247 0.368 0.551
0.472 0.776 0.267
0.528 0.224 0.733
0.753 0.632 0.449
0.780 0.974 0.100
0.953 0.224 0.740
0.004 0.056 0.813
0.026 0.244 0.588
0.064 0.433 0.850
0.142 0.803 0.909
0.184 0.352 0.375
0.305 0.867 0.307
0.339 0.589 0.650
0.350 0.182 0.052
0.356 0.043 0.777
0.377 0.586 0.140
0.410 0.261 0.579
0.590 0.739 0.421
0.623 0.414 0.860
0.644 0.957 0.223
0.650 0.818 0.948
0.661 0.411 0.350
0.695 0.133 0.693
0.816 0.648 0.625
0.858 0.197 0.091
0.936 0.567 0.150
0.974 0.756 0.412
0.996 0.944 0.187
```

---

Computed, not measured: a relaxed LiFeSiO4 crystal at the PBE+U level of DFT.

electronic total energy	-381.60	eV/cell
ΔH_f (0 K)	-2.44	eV/atom
magnetization	40.00	Bohr magnetons per cell

```
LiFeSiO4
1.0
7.914 0.000 0.000
0.000 18.911 0.000
0.000 0.000 5.216
Li Fe Si O
8 8 8 32
Direct
0.050 0.044 0.000
0.086 0.230 0.846
0.414 0.730 0.346
0.450 0.544 0.500
0.550 0.456 0.000
0.586 0.270 0.846
0.914 0.770 0.346
0.950 0.956 0.500
0.023 0.430 0.342
0.155 0.834 0.795
0.345 0.334 0.295
0.477 0.930 0.842
0.523 0.070 0.342
0.655 0.666 0.795
0.845 0.166 0.295
0.977 0.570 0.842
0.181 0.178 0.288
0.226 0.434 0.779
0.274 0.934 0.279
0.319 0.678 0.788
0.681 0.322 0.288
0.726 0.066 0.779
0.774 0.566 0.279
0.819 0.822 0.788
0.044 0.197 0.515
0.047 0.144 0.077
0.058 0.481 0.682
0.102 0.975 0.239
0.164 0.627 0.867
0.196 0.406 0.081
0.198 0.367 0.572
0.246 0.750 0.642
0.254 0.250 0.142
0.302 0.867 0.072
0.304 0.906 0.581
0.336 0.127 0.367
0.398 0.475 0.739
0.442 0.981 0.182
0.453 0.644 0.577
0.456 0.697 0.015
0.544 0.303 0.515
0.547 0.356 0.077
0.558 0.019 0.682
0.602 0.525 0.239
0.664 0.873 0.867
0.696 0.094 0.081
0.698 0.133 0.572
0.746 0.750 0.642
0.754 0.250 0.142
0.802 0.633 0.072
0.804 0.594 0.581
0.836 0.373 0.367
0.898 0.025 0.739
0.942 0.519 0.182
0.953 0.856 0.577
0.956 0.803 0.015
```

---

Computed, not measured: a relaxed LiFeSiO4 crystal at the PBE+U level of DFT.

electronic total energy	-737.60	eV/cell
ΔH_f (0 K)	-2.22	eV/atom
magnetization	3.98	Bohr magnetons per cell

```
LiFeSiO4
1.0
8.877 -4.986 0.000
8.877 4.986 0.000
-6.378 0.000 16.201
Li Fe Si O
16 16 16 64
Direct
0.031 0.969 0.500
0.040 0.472 0.503
0.136 0.221 0.251
0.137 0.719 0.251
0.221 0.136 0.751
0.288 0.637 0.753
0.409 0.532 0.003
0.472 0.040 0.003
0.522 0.909 0.502
0.532 0.409 0.503
0.637 0.288 0.253
0.637 0.787 0.252
0.719 0.137 0.751
0.787 0.637 0.752
0.909 0.522 0.002
0.969 0.031 0.000
0.020 0.169 0.876
0.090 0.667 0.878
0.165 0.521 0.377
0.169 0.020 0.376
0.273 0.402 0.128
0.277 0.901 0.128
0.339 0.773 0.627
0.402 0.273 0.628
0.521 0.165 0.877
0.591 0.665 0.878
0.665 0.591 0.378
0.667 0.090 0.378
0.773 0.339 0.127
0.777 0.840 0.128
0.840 0.777 0.628
0.901 0.277 0.628
0.030 0.966 0.689
0.090 0.466 0.691
0.216 0.346 0.938
0.278 0.846 0.939
0.343 0.714 0.437
0.346 0.216 0.438
0.464 0.589 0.191
0.466 0.090 0.191
0.529 0.963 0.689
0.589 0.464 0.691
0.714 0.343 0.937
0.777 0.841 0.940
0.841 0.777 0.440
0.846 0.278 0.439
0.963 0.529 0.189
0.966 0.030 0.189
0.011 0.582 0.772
0.019 0.630 0.450
0.022 0.128 0.449
0.044 0.354 0.922
0.052 0.474 0.112
0.055 0.980 0.112
0.076 0.080 0.772
0.079 0.574 0.272
0.080 0.076 0.272
0.087 0.299 0.671
0.128 0.022 0.949
0.183 0.793 0.674
0.201 0.519 0.948
0.221 0.306 0.361
0.224 0.804 0.360
0.229 0.725 0.862
0.264 0.823 0.520
0.272 0.432 0.705
0.279 0.326 0.523
0.296 0.588 0.172
0.299 0.087 0.171
0.306 0.221 0.861
0.321 0.777 0.023
0.326 0.279 0.023
0.353 0.541 0.421
0.354 0.044 0.422
0.390 0.935 0.698
0.428 0.850 0.926
0.432 0.272 0.205
0.432 0.770 0.204
0.474 0.052 0.612
0.482 0.554 0.612
0.511 0.580 0.772
0.516 0.701 0.450
0.519 0.201 0.448
0.541 0.353 0.921
0.554 0.482 0.112
0.561 0.985 0.113
0.574 0.079 0.772
0.580 0.511 0.272
0.582 0.011 0.272
0.588 0.296 0.672
0.630 0.019 0.950
0.685 0.793 0.674
0.701 0.516 0.950
0.725 0.229 0.362
0.725 0.726 0.360
0.726 0.725 0.860
0.762 0.819 0.519
0.770 0.432 0.704
0.777 0.321 0.523
0.793 0.183 0.174
0.793 0.685 0.174
0.804 0.224 0.860
0.819 0.762 0.019
0.823 0.264 0.020
0.847 0.927 0.428
0.850 0.428 0.426
0.889 0.941 0.697
0.927 0.847 0.928
0.935 0.390 0.198
0.941 0.889 0.197
0.980 0.055 0.612
0.985 0.561 0.613
```

---

Computed, not measured: a relaxed Li2FeSiO4 crystal at the PBE+U level of DFT.

electronic total energy	-212.03	eV/cell
largest piezoelectric modulus	1.24	C/m2
ΔH_f (0 K)	-2.56	eV/atom

```
Li2FeSiO4
1.0
0.000 0.000 6.339
5.010 5.409 0.000
-5.008 5.407 0.000
Li Fe Si O
8 4 4 16
Direct
0.750 0.363 0.305
0.750 0.863 0.805
0.750 0.445 0.887
0.750 0.945 0.387
0.250 0.445 0.887
0.250 0.945 0.387
0.250 0.363 0.305
0.250 0.863 0.805
0.500 0.617 0.554
0.000 0.196 0.633
0.500 0.117 0.054
0.000 0.696 0.132
0.000 0.110 0.060
0.000 0.610 0.560
0.500 0.690 0.140
0.500 0.190 0.640
0.000 0.450 0.730
0.000 0.950 0.230
0.500 0.520 0.300
0.500 0.020 0.800
0.500 0.385 0.738
0.500 0.885 0.238
0.000 0.512 0.365
0.000 0.012 0.865
0.786 0.237 0.077
0.786 0.737 0.577
0.286 0.673 0.013
0.286 0.173 0.513
0.714 0.673 0.013
0.714 0.173 0.513
0.214 0.237 0.077
0.214 0.737 0.577
```

---

Computed, not measured: a relaxed LiFeSiO4 crystal at the PBE+U level of DFT.

electronic total energy	-191.80	eV/cell
ΔH_f (0 K)	-2.48	eV/atom
magnetization	20.00	Bohr magnetons per cell

```
LiFeSiO4
1.0
11.230 0.000 0.000
0.000 5.059 0.000
0.000 0.000 6.090
Li Fe Si O
4 4 4 16
Direct
0.079 0.169 0.000
0.421 0.669 0.500
0.579 0.331 0.000
0.921 0.831 0.500
0.170 0.670 0.748
0.330 0.170 0.248
0.670 0.830 0.748
0.830 0.330 0.248
0.167 0.668 0.251
0.333 0.168 0.751
0.667 0.832 0.251
0.833 0.332 0.751
0.089 0.737 0.474
0.104 0.782 0.025
0.181 0.345 0.231
0.198 0.301 0.771
0.302 0.801 0.271
0.319 0.845 0.731
0.396 0.282 0.525
0.411 0.237 0.974
0.589 0.763 0.474
0.604 0.718 0.025
0.681 0.155 0.231
0.698 0.199 0.771
0.802 0.699 0.271
0.819 0.655 0.731
0.896 0.218 0.525
0.911 0.263 0.974
```

---

Computed, not measured: a relaxed Li2Fe2Si2O7 crystal at the PBE+U level of DFT.

electronic total energy	-178.52	eV/cell
ΔH_f (0 K)	-2.49	eV/atom
magnetization	16.00	Bohr magnetons per cell

```
Li2Fe2Si2O7
1.0
13.332 0.000 0.000
0.000 4.788 2.514
0.000 -4.788 2.514
Li Fe Si O
4 4 4 14
Direct
0.000 0.000 0.000
0.250 0.037 0.013
0.500 0.000 0.000
0.750 0.013 0.037
0.086 0.671 0.242
0.414 0.671 0.242
0.586 0.242 0.671
0.914 0.242 0.671
0.139 0.352 0.580
0.361 0.352 0.580
0.639 0.580 0.352
0.861 0.580 0.352
0.059 0.115 0.568
0.121 0.701 0.885
0.133 0.344 0.267
0.250 0.219 0.586
0.367 0.344 0.267
0.379 0.701 0.885
0.441 0.115 0.568
0.559 0.568 0.115
0.621 0.885 0.701
0.633 0.267 0.344
0.750 0.586 0.219
0.867 0.267 0.344
0.879 0.885 0.701
0.941 0.568 0.115
```

---

Number 1: relative energy among the computed polymorphs 69 meV/atom. Number 2: relative energy among the computed polymorphs 93 meV/atom. Number 3: relative energy among the computed polymorphs 321 meV/atom. Number 4: relative energy among the computed polymorphs 0 meV/atom. Number 5: relative energy among the computed polymorphs 57 meV/atom. Number 6: relative energy among the computed polymorphs 42 meV/atom.